Entry 1:
{
  "formula": "Ba4CaCu2CO9",
  "functional": "PBE-GGA",
  "state": "relaxed",
  "space_group": "No. 38",
  "energy_mp2020_ev_per_cell": -113.25,
  "dft_energy_ev_per_cell": -107.07,
  "cell": [[4.073, -4.205, 0.000], [4.073, 4.205, 0.000], [0.000, 0.000, 8.312]],
  "species": ["Cu", "C", "O", "O", "O", "Ba", "Ba", "O", "Ba", "O", "O", "O", "O", "O", "Cu", "Ca", "Ba"],
  "frac_coords": [[0.502, 0.498, 0.000], [0.497, 0.503, 0.500], [0.342, 0.658, 0.500], [0.999, 0.001, 0.719], [0.999, 0.001, 0.281], [0.501, 0.993, 0.232], [0.007, 0.499, 0.232], [0.278, 0.722, 0.000], [0.501, 0.993, 0.768], [0.574, 0.426, 0.636], [0.724, 0.276, 0.000], [0.574, 0.426, 0.364], [0.275, 0.273, 0.000], [0.727, 0.725, 0.000], [0.996, 0.004, 0.500], [0.999, 0.001, 0.000], [0.007, 0.499, 0.768]]
}


Entry 2:
{
  "formula": "Na3Ca2La2PS5O24",
  "functional": "PBE-GGA",
  "state": "relaxed",
  "space_group": "No. 1",
  "energy_mp2020_ev_per_cell": -779.94,
  "dft_energy_ev_per_cell": -730.47,
  "cell": [[-3.792, 8.587, 0.122], [-4.135, -7.022, 4.690], [13.313, 5.644, 20.069]],
  "species": ["O", "O", "S", "Na", "O", "O", "Na", "Na", "O", "O", "O", "Ca", "O", "S", "O", "Ca", "S", "O", "La", "S", "O", "O", "O", "O", "S", "O", "O", "S", "O", "O", "O", "O", "O", "S", "O", "La", "O", "O", "O", "O", "O", "Na", "La", "O", "O", "O", "O", "O", "O", "O", "O", "O", "La", "O", "P", "Na", "S", "O", "O", "O", "La", "O", "Na", "S", "O", "S", "O", "O", "S", "O", "O", "O", "O", "P", "Ca", "O", "O", "O", "S", "S", "O", "O", "O", "O", "O", "O", "La", "O", "O", "O", "Na", "S", "S", "O", "P", "Na", "O", "Na", "Ca", "O", "O", "O", "O", "O", "O", "O", "O", "Ca", "Ca", "O", "O"],
  "frac_coords": [[0.015, 0.217, 0.201], [0.683, 0.121, 0.035], [0.696, 0.702, 0.248], [0.658, 0.966, 0.589], [0.140, 0.662, 0.080], [0.652, 0.548, 0.632], [0.667, 0.334, 0.333], [0.031, 0.001, 0.508], [0.523, 0.853, 0.079], [0.855, 0.318, 0.249], [0.201, 0.216, 0.701], [0.333, 0.667, 0.316], [0.324, 0.867, 0.962], [0.007, 0.303, 0.250], [0.483, 0.355, 0.417], [0.318, 0.668, 0.017], [0.296, 0.298, 0.750], [0.813, 0.813, 0.586], [0.000, 0.999, 0.351], [0.667, 0.022, 0.083], [0.344, 0.886, 0.863], [0.551, 0.873, 0.469], [0.316, 0.847, 0.253], [0.018, 0.814, 0.414], [0.041, 0.375, 0.916], [0.871, 0.354, 0.917], [0.972, 0.172, 0.586], [0.008, 0.706, 0.751], [0.796, 0.010, 0.796], [0.120, 0.654, 0.367], [0.513, 0.844, 0.751], [0.518, 0.662, 0.579], [0.129, 0.676, 0.466], [0.627, 0.960, 0.418], [0.468, 0.355, 0.131], [0.674, 0.335, 0.983], [0.023, 0.804, 0.702], [0.646, 0.103, 0.132], [0.484, 0.131, 0.917], [0.324, 0.456, 0.466], [0.341, 0.467, 0.367], [0.674, 0.698, 0.082], [0.656, 0.329, 0.483], [0.205, 0.985, 0.201], [0.546, 0.673, 0.970], [0.466, 0.110, 0.638], [0.856, 0.549, 0.034], [0.022, 0.206, 0.915], [0.184, 0.206, 0.414], [0.462, 0.308, 0.747], [0.868, 0.516, 0.418], [0.817, 0.006, 0.088], [0.676, 0.335, 0.183], [0.467, 0.146, 0.247], [0.362, 0.025, 0.585], [0.303, 0.665, 0.166], [0.365, 0.337, 0.083], [0.445, 0.314, 0.034], [0.878, 0.534, 0.134], [0.776, 0.793, 0.198], [0.983, 0.000, 0.850], [0.867, 0.313, 0.534], [0.017, 0.001, 0.006], [0.037, 0.664, 0.416], [0.190, 0.004, 0.587], [0.333, 0.964, 0.914], [0.215, 0.196, 0.799], [0.124, 0.466, 0.867], [0.300, 0.995, 0.250], [0.364, 0.861, 0.580], [0.198, 0.195, 0.088], [0.317, 0.463, 0.755], [0.364, 0.495, 0.078], [0.690, 0.995, 0.746], [0.009, 0.003, 0.152], [0.154, 0.468, 0.253], [0.795, 0.979, 0.414], [0.990, 0.785, 0.800], [0.667, 0.645, 0.583], [0.971, 0.330, 0.582], [0.529, 0.873, 0.370], [0.531, 0.657, 0.871], [0.218, 0.012, 0.299], [0.645, 0.515, 0.920], [0.161, 0.696, 0.754], [0.799, 0.789, 0.296], [0.670, 0.334, 0.681], [0.130, 0.456, 0.966], [0.532, 0.687, 0.253], [0.993, 0.206, 0.299], [0.370, 0.992, 0.750], [0.333, 0.375, 0.416], [0.626, 0.664, 0.920], [0.667, 0.151, 0.747], [0.968, 0.641, 0.084], [0.682, 0.334, 0.833], [0.794, 0.814, 0.917], [0.335, 0.663, 0.667], [0.003, 0.000, 0.651], [0.647, 0.129, 0.419], [0.184, 0.983, 0.913], [0.894, 0.353, 0.632], [0.679, 0.535, 0.247], [0.772, 0.986, 0.693], [0.862, 0.538, 0.747], [0.686, 0.561, 0.535], [0.459, 0.139, 0.536], [0.326, 0.666, 0.516], [0.341, 0.665, 0.817], [0.968, 0.807, 0.087], [0.138, 0.471, 0.577]]
}


Entry 3:
{
  "formula": "ZrMnGe",
  "functional": "PBE-GGA",
  "state": "relaxed",
  "space_group": "No. 62",
  "dft_energy_ev_per_cell": -96.18,
  "cell": [[-1.131, 0.130, -3.625], [1.797, -6.451, -0.792], [-7.187, -2.267, 2.161]],
  "species": ["Zr", "Ge", "Zr", "Mn", "Zr", "Mn", "Mn", "Ge", "Ge", "Zr", "Mn", "Ge"],
  "frac_coords": [[0.750, 0.967, 0.179], [0.750, 0.238, 0.624], [0.750, 0.467, 0.321], [0.750, 0.366, 0.938], [0.250, 0.033, 0.821], [0.750, 0.866, 0.562], [0.250, 0.634, 0.062], [0.750, 0.738, 0.876], [0.250, 0.762, 0.376], [0.250, 0.533, 0.679], [0.250, 0.134, 0.438], [0.250, 0.262, 0.124]]
}


Entry 4:
{
  "formula": "TmH2ClO2",
  "functional": "PBE-GGA",
  "state": "relaxed",
  "space_group": "No. 62",
  "energy_mp2020_ev_per_cell": -148.07,
  "dft_energy_ev_per_cell": -142.58,
  "cell": [[0.000, 3.541, 0.000], [0.000, 0.000, 6.320], [13.120, 0.000, 0.000]],
  "species": ["H", "Cl", "O", "Cl", "H", "H", "H", "O", "Tm", "O", "H", "O", "H", "H", "Cl", "Tm", "Cl", "Tm", "O", "O", "O", "Tm", "O", "H"],
  "frac_coords": [[0.750, 0.459, 0.351], [0.250, 0.119, 0.704], [0.750, 0.998, 0.923], [0.750, 0.619, 0.796], [0.250, 0.541, 0.649], [0.250, 0.959, 0.149], [0.250, 0.179, 0.384], [0.750, 0.502, 0.423], [0.250, 0.750, 0.951], [0.250, 0.498, 0.577], [0.250, 0.321, 0.884], [0.250, 0.128, 0.455], [0.750, 0.679, 0.116], [0.750, 0.821, 0.616], [0.250, 0.381, 0.204], [0.250, 0.750, 0.451], [0.750, 0.881, 0.296], [0.750, 0.250, 0.549], [0.250, 0.372, 0.955], [0.750, 0.628, 0.045], [0.250, 0.002, 0.077], [0.750, 0.250, 0.049], [0.750, 0.872, 0.545], [0.750, 0.041, 0.851]]
}


Entry 5:
{
  "formula": "Sr3CaSn4O12",
  "functional": "PBE-GGA",
  "state": "relaxed",
  "space_group": "No. 6",
  "energy_mp2020_ev_per_cell": -135.25,
  "dft_energy_ev_per_cell": -127.01,
  "cell": [[-6.610, -4.569, 1.324], [3.324, -4.661, 0.512], [0.478, 0.961, 5.703]],
  "species": ["O", "O", "Sn", "O", "Sr", "O", "Sn", "O", "O", "O", "O", "Sn", "O", "O", "O", "O", "Sn", "Sr", "Sr", "Ca"],
  "frac_coords": [[0.000, 0.902, 0.519], [0.794, 0.215, 0.216], [0.248, 0.500, 0.999], [0.200, 0.295, 0.706], [0.000, 0.005, 0.967], [0.000, 0.577, 0.038], [0.247, 0.999, 0.500], [0.709, 0.713, 0.286], [0.500, 0.076, 0.484], [0.206, 0.215, 0.216], [0.291, 0.713, 0.286], [0.753, 0.999, 0.500], [0.710, 0.792, 0.790], [0.290, 0.792, 0.790], [0.500, 0.422, 0.978], [0.800, 0.295, 0.706], [0.752, 0.500, 0.999], [0.500, 0.508, 0.531], [0.500, 0.991, 0.037], [0.000, 0.489, 0.453]]
}


Entry 6:
{
  "formula": "Re6Pb3C2S2N4O26",
  "functional": "PBE-GGA",
  "state": "relaxed",
  "space_group": "No. 113",
  "energy_mp2020_ev_per_cell": -652.14,
  "dft_energy_ev_per_cell": -614.40,
  "cell": [[-14.141, 4.988, 6.488], [4.444, -6.195, 14.450], [2.534, 5.264, 1.477]],
  "species": ["N", "O", "S", "Re", "O", "Pb", "N", "O", "S", "O", "O", "O", "N", "O", "N", "Re", "O", "O", "O", "O", "Re", "O", "N", "O", "O", "O", "O", "O", "O", "O", "O", "O", "O", "Re", "O", "O", "O", "Pb", "Re", "Re", "O", "O", "O", "N", "Pb", "O", "S", "O", "Pb", "C", "O", "Re", "O", "O", "Pb", "O", "C", "O", "O", "Re", "O", "C", "N", "Re", "O", "O", "O", "O", "O", "Pb", "Re", "O", "O", "O", "O", "Re", "O", "O", "O", "Re", "C", "N", "S", "O", "O", "O"],
  "frac_coords": [[0.163, 0.231, 0.013], [0.869, 0.190, 0.478], [0.880, 0.620, 0.014], [0.474, 0.319, 0.531], [0.311, 0.811, 0.497], [0.419, 0.919, 0.480], [0.337, 0.731, 0.987], [0.563, 0.937, 0.235], [0.620, 0.120, 0.986], [0.369, 0.310, 0.522], [0.021, 0.278, 0.510], [0.387, 0.496, 0.679], [0.269, 0.337, 0.013], [0.591, 0.787, 0.997], [0.837, 0.769, 0.013], [0.526, 0.681, 0.531], [0.063, 0.563, 0.765], [0.190, 0.131, 0.522], [0.222, 0.479, 0.510], [0.689, 0.189, 0.497], [0.391, 0.109, 0.995], [0.787, 0.409, 0.003], [0.663, 0.269, 0.987], [0.613, 0.504, 0.679], [0.496, 0.640, 0.788], [0.310, 0.631, 0.478], [0.937, 0.437, 0.765], [0.437, 0.063, 0.235], [0.504, 0.387, 0.321], [0.690, 0.369, 0.478], [0.091, 0.713, 0.003], [0.887, 0.004, 0.321], [0.213, 0.591, 0.003], [0.319, 0.526, 0.469], [0.935, 0.435, 0.247], [0.996, 0.860, 0.212], [0.996, 0.887, 0.679], [0.919, 0.581, 0.520], [0.609, 0.891, 0.995], [0.974, 0.181, 0.469], [0.435, 0.065, 0.753], [0.065, 0.565, 0.247], [0.479, 0.778, 0.490], [0.769, 0.163, 0.987], [0.500, 0.500, 0.000], [0.521, 0.222, 0.490], [0.380, 0.880, 0.986], [0.860, 0.004, 0.788], [0.081, 0.419, 0.520], [0.303, 0.803, 0.988], [0.131, 0.810, 0.478], [0.109, 0.609, 0.005], [0.004, 0.113, 0.679], [0.722, 0.021, 0.490], [0.000, 0.000, 0.000], [0.189, 0.311, 0.503], [0.803, 0.697, 0.012], [0.979, 0.722, 0.510], [0.810, 0.869, 0.522], [0.181, 0.026, 0.531], [0.565, 0.935, 0.753], [0.197, 0.303, 0.012], [0.731, 0.663, 0.013], [0.819, 0.974, 0.531], [0.278, 0.979, 0.490], [0.287, 0.091, 0.997], [0.113, 0.996, 0.321], [0.496, 0.613, 0.321], [0.909, 0.287, 0.003], [0.581, 0.081, 0.480], [0.681, 0.474, 0.469], [0.778, 0.521, 0.510], [0.713, 0.909, 0.997], [0.409, 0.213, 0.997], [0.360, 0.496, 0.212], [0.891, 0.391, 0.005], [0.504, 0.360, 0.788], [0.140, 0.996, 0.788], [0.631, 0.690, 0.522], [0.026, 0.819, 0.469], [0.697, 0.197, 0.988], [0.231, 0.837, 0.987], [0.120, 0.380, 0.014], [0.640, 0.504, 0.212], [0.811, 0.689, 0.503], [0.004, 0.140, 0.212]]
}


Entry 7:
{
  "formula": "BaSrTbSbO6",
  "functional": "PBE-GGA",
  "state": "relaxed",
  "space_group": "No. 216",
  "energy_mp2020_ev_per_cell": -72.69,
  "e_above_lowest_polymorph_mev_per_atom": 15.0,
  "dft_energy_ev_per_cell": -68.57,
  "cell": [[0.000, -4.240, -4.240], [4.240, 0.000, -4.240], [4.240, -4.240, 0.000]],
  "species": ["Tb", "O", "O", "O", "Ba", "Sb", "Sr", "O", "O", "O"],
  "frac_coords": [[0.500, 0.500, 0.500], [0.763, 0.763, 0.237], [0.237, 0.237, 0.763], [0.763, 0.237, 0.237], [0.750, 0.750, 0.750], [0.000, 0.000, 0.000], [0.250, 0.250, 0.250], [0.237, 0.763, 0.237], [0.237, 0.763, 0.763], [0.763, 0.237, 0.763]]
}


Entry 8:
{
  "formula": "HoGe2Pd",
  "functional": "PBE-GGA",
  "state": "relaxed",
  "space_group": "No. 71",
  "dft_energy_ev_per_cell": -88.00,
  "cell": [[0.438, 1.254, -4.130], [-1.294, 8.391, 2.410], [8.469, -3.907, 1.991]],
  "species": ["Ge", "Pd", "Pd", "Ge", "Ge", "Ho", "Ge", "Ge", "Pd", "Ho", "Ge", "Ho", "Pd", "Ho", "Ge", "Ge"],
  "frac_coords": [[0.198, 0.547, 0.396], [0.647, 0.397, 0.294], [0.647, 0.897, 0.294], [0.574, 0.574, 0.149], [0.198, 0.849, 0.396], [0.000, 0.762, 0.000], [0.426, 0.426, 0.851], [0.426, 0.926, 0.851], [0.353, 0.103, 0.706], [0.000, 0.238, 0.000], [0.574, 0.074, 0.149], [0.797, 0.797, 0.594], [0.353, 0.603, 0.706], [0.203, 0.203, 0.406], [0.802, 0.151, 0.604], [0.802, 0.453, 0.604]]
}


Entry 9:
{
  "formula": "FeH3",
  "functional": "PBE-GGA",
  "state": "relaxed",
  "space_group": "No. 223",
  "energy_mp2020_ev_per_cell": -34.96,
  "dft_energy_ev_per_cell": -33.89,
  "cell": [[3.285, 0.000, 0.000], [0.000, 3.285, 0.000], [0.000, 0.000, 3.285]],
  "species": ["H", "H", "Fe", "H", "H", "H", "H", "Fe"],
  "frac_coords": [[0.750, 0.500, 0.000], [0.000, 0.750, 0.500], [0.500, 0.500, 0.500], [0.500, 0.000, 0.250], [0.000, 0.250, 0.500], [0.250, 0.500, 0.000], [0.500, 0.000, 0.750], [0.000, 0.000, 0.000]]
}


Entry 10:
{
  "formula": "PuSb",
  "functional": "PBE-GGA",
  "state": "relaxed",
  "space_group": "No. 221",
  "energy_mp2020_ev_per_cell": -19.74,
  "dft_energy_ev_per_cell": -19.55,
  "cell": [[3.770, 0.000, 0.000], [0.000, 3.770, 0.000], [0.000, 0.000, 3.770]],
  "species": ["Sb", "Pu"],
  "frac_coords": [[0.500, 0.500, 0.500], [0.000, 0.000, 0.000]]
}


Entry 11:
{
  "formula": "PrCdCu",
  "functional": "PBE-GGA",
  "state": "relaxed",
  "space_group": "No. 189",
  "dft_energy_ev_per_cell": -31.72,
  "cell": [[-6.637, -3.470, -1.630], [4.615, -2.895, 5.390], [-1.868, 2.254, 2.810]],
  "species": ["Pr", "Cu", "Cd", "Cd", "Pr", "Pr", "Cu", "Cu", "Cd"],
  "frac_coords": [[0.000, 0.412, 0.500], [0.667, 0.333, 0.000], [0.000, 0.753, 0.000], [0.753, 0.000, 0.000], [0.412, 0.000, 0.500], [0.588, 0.588, 0.500], [0.000, 0.000, 0.500], [0.333, 0.667, 0.000], [0.247, 0.247, 0.000]]
}


no.,ΔE_f (meV/atom)
1,-2448
2,-2629
3,-571
4,-2335
5,-2638
6,-1199
7,-3063
8,-748
9,292
10,-672
11,-257